Entry 1:
Gd2IrRh after structural relaxation. Source: Materials Project, functional PBE.

Structure (POSCAR):
```
Gd2IrRh
1.0
0.0000 3.4553 3.4553
3.4553 0.0000 3.4553
3.4553 3.4553 0.0000
Gd Ir Rh
2 1 1
direct
0.2500 0.2500 0.2500
0.7500 0.7500 0.7500
0.0000 0.0000 0.0000
0.5000 0.5000 0.5000
```

## Properties
- Calculated formation energy: -0.790 eV per atom
- Space-group type: No. 225
- Density: 12270 kg/m3


Entry 2:
Gd2IrRu after structural relaxation. Source: Materials Project, functional PBE.

Structure (POSCAR):
```
Gd2IrRu
1.0
0.0000 3.4449 3.4449
3.4449 0.0000 3.4449
3.4449 3.4449 0.0000
Gd Ir Ru
2 1 1
direct
0.2500 0.2500 0.2500
0.7500 0.7500 0.7500
0.0000 0.0000 0.0000
0.5000 0.5000 0.5000
```

## Properties
- Calculated formation energy: -0.524 eV per atom
- Space-group type: No. 225
- Density: 12344 kg/m3


Entry 3:
GdSi3Ir after structural relaxation. Source: Materials Project, functional PBE.

Structure (POSCAR):
```
GdSi3Ir
1.0
-2.1059 2.1059 4.9135
2.1059 -2.1059 4.9135
2.1059 2.1059 -4.9135
Gd Si Ir
1 3 1
direct
0.0000 0.0000 0.0000
0.2343 0.7343 0.5000
0.5842 0.5842 0.0000
0.7343 0.2343 0.5000
0.3455 0.3455 0.0000
```

## Properties
- Magnetic moment: 6.87 μB per formula unit
- Calculated formation energy: -0.813 eV per atom
- Space-group type: No. 107
- Density: 8263 kg/m3


Entry 4:
GdTmIr2 after structural relaxation. Source: Materials Project, functional PBE.

Structure (POSCAR):
```
GdTmIr2
1.0
0.0000 3.4221 3.4221
3.4221 0.0000 3.4221
3.4221 3.4221 0.0000
Gd Tm Ir
1 1 2
direct
0.0000 0.0000 0.0000
0.5000 0.5000 0.5000
0.2500 0.2500 0.2500
0.7500 0.7500 0.7500
```

## Properties
- Calculated formation energy: -0.833 eV per atom
- Space-group type: No. 225
- Density: 14723 kg/m3


Entry 5:
GdYIr2 after structural relaxation. Source: Materials Project, functional PBE.

Structure (POSCAR):
```
GdYIr2
1.0
0.0000 3.4494 3.4494
3.4494 0.0000 3.4494
3.4494 3.4494 0.0000
Gd Y Ir
1 1 2
direct
0.0000 0.0000 0.0000
0.5000 0.5000 0.5000
0.2500 0.2500 0.2500
0.7500 0.7500 0.7500
```

## Properties
- Calculated formation energy: 0.472 eV per atom
- Space-group type: No. 225
- Density: 12756 kg/m3


Entry 6:
KLaGdSbO6 after structural relaxation. Source: Materials Project, functional PBE.

Structure (POSCAR):
```
KLaGdSbO6
1.0
0.0000 4.2154 4.2154
4.2154 0.0000 4.2154
4.2154 4.2154 0.0000
K La Gd Sb O
1 1 1 1 6
direct
0.0000 0.0000 0.0000
0.5000 0.5000 0.5000
0.7500 0.7500 0.7500
0.2500 0.2500 0.2500
0.0141 0.0141 0.4859
0.0141 0.4859 0.0141
0.0141 0.4859 0.4859
0.4859 0.0141 0.0141
0.4859 0.0141 0.4859
0.4859 0.4859 0.0141
```

## Properties
- Magnetic moment: 7.00 μB per formula unit
- Energy with MP2020 corrections: -82.4 eV/cell
- Calculated formation energy: -2.844 eV per atom
- Space-group type: No. 216
- Density: 6130 kg/m3


- Among the records above, which one has the lowest density?
  KLaGdSbO6


- Among the records above, which one has the lowest density?
  KLaGdSbO6


- The highest density belongs to which entry?
  GdTmIr2